No. 1
Material: Na5Mg3SnP3S3O24
Method: DFT, GGA-PBE
State: optimized geometry

Values from the calculation:
magnetization: 0.00 μB/f.u.
volume: 506.7 Å³/f.u.
DFT total energy: -6.232 eV/atom
formation energy: -2.48 eV/atom
symmetry: P1 (1)

Cell lengths 8.8711, 8.8575, 22.3234 Å; angles 90.37, 89.71, 119.93 degrees
With the nearest neighbours (Å) after each atom.
Fractional positions:
Na: 0.0015 0.6359 0.2564  5 O 2.41-2.51
Na: 0.2992 0.3396 0.5893  5 O 2.42-2.56
Na: 0.0269 0.6921 0.5817  5 O 2.41-2.60
Na: 0.6731 0.9640 0.5800  5 O 2.42-2.54
Na: 0.6709 0.6999 0.0821  5 O 2.36-2.54
Na: 0.0339 0.3391 0.0856  5 O 2.34-2.59
Na: 0.9758 0.6764 0.9118  5 O 2.36-2.58
Na: 0.3263 0.2971 0.9063  5 O 2.38-2.48
Na: 0.7020 0.6787 0.4168  5 O 2.37-2.65
Na: 0.9968 0.0037 0.4945  5 O 2.43-2.67
Na: 0.9999 0.9936 0.9945  6 O 2.44-2.71
Na: 0.6575 0.3214 0.8230  3 O 2.31-2.46
Na: 0.6579 0.3062 0.3338  5 O 2.38-2.58
Na: 0.3355 0.6785 0.1722  5 O 2.40-2.64
Na: 0.3311 0.6519 0.6673  5 O 2.40-2.56
Mg: 0.0019 0.0051 0.3533  6 O 2.05-2.14
Mg: 0.9997 0.0070 0.8485  6 O 2.00-2.16
Mg: 0.9994 0.0068 0.6534  6 O 1.99-2.21
Mg: 0.0045 0.9938 0.1532  5 O 1.97-2.19
Mg: 0.6667 0.3418 0.6865  6 O 1.98-2.18
Mg: 0.6661 0.3307 0.1872  6 O 2.02-2.10
Mg: 0.3281 0.6717 0.0153  4 O 1.94-2.08
Mg: 0.3311 0.6673 0.5130  6 O 2.01-2.18
Mg: 0.3358 0.6740 0.3207  3 O 1.94-2.08
Sn: 0.6682 0.3315 0.9810  6 O 2.03-2.13
Sn: 0.6805 0.3340 0.4812  6 O 2.01-2.20
Sn: 0.3360 0.6640 0.8151  6 O 2.02-2.15
P: 0.2990 0.2952 0.7509  4 O 1.54-1.62
P: 0.9624 0.3329 0.5867  4 O 1.51-1.60
P: 0.6651 0.6266 0.5840  4 O 1.51-1.60
P: 0.9627 0.6291 0.0858  4 O 1.53-1.61
P: 0.6295 0.6713 0.9209  4 O 1.52-1.61
P: 0.0405 0.3704 0.9196  4 O 1.52-1.59
P: 0.3332 0.9585 0.9175  4 O 1.51-1.59
P: 0.6276 0.9606 0.4177  4 O 1.52-1.60
P: 0.0400 0.6706 0.4160  4 O 1.53-1.62
S: 0.2954 0.0020 0.2501  4 O 1.46-1.50
S: 0.7011 0.7046 0.2491  4 O 1.47-1.51
S: 0.0023 0.2941 0.2485  4 O 1.46-1.51
S: 0.0014 0.7066 0.7508  4 O 1.47-1.53
S: 0.7040 0.0003 0.7499  4 O 1.46-1.53
S: 0.3747 0.0412 0.5847  4 O 1.46-1.52
S: 0.6645 0.0380 0.0856  4 O 1.45-1.53
S: 0.3713 0.3302 0.0848  4 O 1.45-1.52
S: 0.3326 0.3713 0.4173  4 O 1.47-1.53
O: 0.2113 0.0246 0.3033  1 S 1.46
O: 0.8138 0.7890 0.3015  1 S 1.48
O: 0.9824 0.1858 0.3001  1 S 1.46
O: 0.2120 0.1967 0.8088  1 P 1.54
O: 0.9842 0.7897 0.8060  1 S 1.48
O: 0.8053 0.0149 0.8034  1 S 1.46
O: 0.7777 0.9712 0.6944  1 S 1.48
O: 0.1916 0.2146 0.6939  1 P 1.54
O: 0.0230 0.8092 0.6965  1 S 1.47
O: 0.7807 0.8070 0.1934  1 S 1.50
O: 0.0205 0.2150 0.1915  1 S 1.50
O: 0.1875 0.9729 0.1957  1 S 1.49
O: 0.8710 0.3649 0.6386  1 P 1.51
O: 0.4877 0.1242 0.6360  1 S 1.46
O: 0.6305 0.5019 0.6349  1 P 1.51
O: 0.8702 0.5083 0.1385  1 P 1.53
O: 0.6397 0.1252 0.1365  1 S 1.45
O: 0.4870 0.3548 0.1342  1 S 1.45
O: 0.4425 0.2991 0.0265  1 S 1.52
O: 0.8441 0.5481 0.0268  1 P 1.61
O: 0.6996 0.1470 0.0291  1 S 1.53
O: 0.4487 0.1531 0.5292  1 S 1.52
O: 0.7001 0.5500 0.5236  1 P 1.60
O: 0.8438 0.2860 0.5284  1 P 1.60
O: 0.5482 0.6902 0.9786  1 P 1.52
O: 0.1465 0.4496 0.9765  1 P 1.53
O: 0.3053 0.8481 0.9721  1 P 1.51
O: 0.5514 0.8575 0.4759  1 P 1.54
O: 0.3121 0.4478 0.4737  1 S 1.48
O: 0.1368 0.6846 0.4740  1 P 1.53
O: 0.1168 0.6389 0.3590  1 P 1.53
O: 0.5171 0.8747 0.3627  1 P 1.52
O: 0.3646 0.4845 0.3653  1 S 1.47
O: 0.1208 0.4973 0.8650  1 P 1.57
O: 0.3700 0.8816 0.8599  1 P 1.56
O: 0.5064 0.6270 0.8658  1 P 1.56
O: 0.0100 0.8285 0.4109  1 P 1.55
O: 0.8124 0.9844 0.4111  1 P 1.55
O: 0.1812 0.1960 0.4102  1 S 1.47
O: 0.0209 0.1915 0.9102  1 P 1.52
O: 0.1734 0.9822 0.9101  1 P 1.54
O: 0.8139 0.8223 0.9113  1 P 1.53
O: 0.9841 0.1701 0.5908  1 P 1.55
O: 0.1985 0.0201 0.5904  1 S 1.48
O: 0.8329 0.8075 0.5897  1 P 1.56
O: 0.9728 0.8085 0.0898  1 P 1.55
O: 0.8257 0.0247 0.0897  1 S 1.50
O: 0.1935 0.1801 0.0898  1 S 1.47
O: 0.6835 0.1550 0.7452  1 S 1.47
O: 0.4827 0.3193 0.7465  1 P 1.54
O: 0.8496 0.5296 0.7468  1 S 1.47
O: 0.6907 0.5301 0.2433  1 S 1.51
O: 0.8451 0.3168 0.2451  1 S 1.51
O: 0.4708 0.1570 0.2432  1 S 1.48
O: 0.6415 0.4960 0.9225  1 P 1.61
O: 0.8570 0.3602 0.9224  1 P 1.59
O: 0.4971 0.1490 0.9222  1 P 1.59
O: 0.6396 0.1465 0.4213  1 P 1.60
O: 0.4977 0.3586 0.4215  1 S 1.53
O: 0.8452 0.5038 0.4185  1 P 1.62
O: 0.3607 0.4929 0.0794  1 S 1.50
O: 0.1402 0.6393 0.0779  1 P 1.54
O: 0.5133 0.8619 0.0786  1 S 1.47
O: 0.3570 0.8665 0.5767  1 S 1.49
O: 0.5037 0.6492 0.5768  1 P 1.55
O: 0.1431 0.4982 0.5776  1 P 1.55
O: 0.3091 0.8399 0.2545  1 S 1.50
O: 0.5255 0.6821 0.2552  1 S 1.47
O: 0.1578 0.4728 0.2529  1 S 1.50
O: 0.3133 0.4847 0.7538  1 P 1.62
O: 0.1666 0.6937 0.7540  1 S 1.53
O: 0.5236 0.8380 0.7539  1 S 1.53

---

No. 2
Material: NaMg2Sn2PS5O24
Method: DFT, GGA-PBE
State: optimized geometry

Values from the calculation:
magnetization: 0.00 μB/f.u.
volume: 494.0 Å³/f.u.
DFT total energy: -6.204 eV/atom
formation energy: -2.18 eV/atom
symmetry: P1 (1)

Cell lengths 8.6785, 8.7106, 22.6570 Å; angles 89.94, 89.80, 120.08 degrees
With the nearest neighbours (Å) after each atom.
Fractional positions:
Na: 0.6753 0.3345 0.8277  6 O 2.46-2.68
Na: 0.6574 0.3348 0.3328  6 O 2.52-2.66
Na: 0.3404 0.6748 0.1632  6 O 2.46-2.67
Mg: 0.0007 0.0060 0.8557  6 O 1.95-2.10
Mg: 0.6659 0.3331 0.6814  6 O 2.00-2.18
Mg: 0.6603 0.3340 0.1882  6 O 2.00-2.11
Mg: 0.6677 0.3346 0.4881  5 O 1.99-2.17
Mg: 0.3282 0.6606 0.0156  5 O 1.92-2.13
Mg: 0.3344 0.6673 0.5274  6 O 1.98-2.17
Sn: 0.0016 0.9942 0.3545  6 O 2.00-2.13
Sn: 0.9986 0.9999 0.6463  6 O 2.03-2.11
Sn: 0.9989 0.9935 0.1475  6 O 2.01-2.12
Sn: 0.6716 0.3328 0.9808  6 O 1.99-2.10
Sn: 0.3398 0.6745 0.3168  6 O 2.04-2.17
Sn: 0.3259 0.6616 0.8145  6 O 1.98-2.11
P: 0.2958 0.0005 0.2505  4 O 1.50-1.56
P: 0.7057 0.7047 0.2506  4 O 1.51-1.56
P: 0.0409 0.3723 0.9177  4 O 1.50-1.60
S: 0.0005 0.2942 0.2502  4 O 1.45-1.50
S: 0.2955 0.2911 0.7511  4 O 1.46-1.51
S: 0.9973 0.7082 0.7518  4 O 1.46-1.51
S: 0.7053 0.0000 0.7521  4 O 1.46-1.51
S: 0.9579 0.3329 0.5838  4 O 1.46-1.53
S: 0.3753 0.0419 0.5836  4 O 1.46-1.53
S: 0.6670 0.6248 0.5837  4 O 1.46-1.53
S: 0.9611 0.6243 0.0853  4 O 1.46-1.51
S: 0.6656 0.0384 0.0859  4 O 1.46-1.51
S: 0.3744 0.3353 0.0846  4 O 1.46-1.51
S: 0.6261 0.6672 0.9175  4 O 1.44-1.53
S: 0.3328 0.9589 0.9175  4 O 1.44-1.53
S: 0.6291 0.9666 0.4185  4 O 1.44-1.54
S: 0.3346 0.3748 0.4172  4 O 1.44-1.54
S: 0.0388 0.6601 0.4184  4 O 1.44-1.54
O: 0.2125 0.0336 0.3064  1 P 1.55
O: 0.8159 0.7924 0.3070  1 P 1.55
O: 0.9725 0.1855 0.3043  1 S 1.49
O: 0.2085 0.1819 0.8029  1 S 1.46
O: 0.9760 0.7950 0.8037  1 S 1.46
O: 0.8150 0.0214 0.8034  1 S 1.46
O: 0.7787 0.9647 0.6966  1 S 1.51
O: 0.1848 0.2163 0.6963  1 S 1.51
O: 0.0297 0.8166 0.6965  1 S 1.51
O: 0.7826 0.8268 0.1951  1 P 1.56
O: 0.0366 0.2165 0.1967  1 S 1.50
O: 0.1779 0.9639 0.1947  1 P 1.56
O: 0.8762 0.3548 0.6376  1 S 1.47
O: 0.4790 0.1229 0.6372  1 S 1.47
O: 0.6438 0.5209 0.6373  1 S 1.47
O: 0.8725 0.5153 0.1371  1 S 1.46
O: 0.6438 0.1264 0.1374  1 S 1.46
O: 0.4829 0.3551 0.1362  1 S 1.46
O: 0.4506 0.3015 0.0293  1 S 1.51
O: 0.8520 0.5489 0.0303  1 S 1.51
O: 0.6978 0.1456 0.0302  1 S 1.51
O: 0.4528 0.1528 0.5307  1 S 1.47
O: 0.7018 0.5488 0.5308  1 S 1.47
O: 0.8472 0.2989 0.5311  1 S 1.47
O: 0.5419 0.6886 0.9699  1 S 1.45
O: 0.1469 0.4636 0.9721  1 P 1.51
O: 0.3188 0.8579 0.9704  1 S 1.45
O: 0.5380 0.8474 0.4670  1 S 1.44
O: 0.3093 0.4643 0.4664  1 S 1.44
O: 0.1556 0.6848 0.4669  1 S 1.44
O: 0.1107 0.6310 0.3597  1 S 1.54
O: 0.5272 0.8969 0.3600  1 S 1.54
O: 0.3651 0.4779 0.3588  1 S 1.54
O: 0.1124 0.4942 0.8604  1 P 1.59
O: 0.3806 0.8898 0.8631  1 S 1.52
O: 0.5131 0.6282 0.8627  1 S 1.51
O: 0.0303 0.8285 0.4124  1 S 1.51
O: 0.8070 0.9774 0.4108  1 S 1.51
O: 0.1647 0.1990 0.4100  1 S 1.51
O: 0.0205 0.1936 0.9073  1 P 1.50
O: 0.1753 0.9718 0.9080  1 S 1.44
O: 0.8018 0.8175 0.9080  1 S 1.44
O: 0.9743 0.1669 0.5895  1 S 1.53
O: 0.1921 0.0252 0.5893  1 S 1.53
O: 0.8333 0.8076 0.5892  1 S 1.53
O: 0.9749 0.8038 0.0883  1 S 1.51
O: 0.8328 0.0266 0.0900  1 S 1.51
O: 0.1925 0.1722 0.0895  1 S 1.51
O: 0.6842 0.1553 0.7445  1 S 1.46
O: 0.4723 0.3117 0.7434  1 S 1.46
O: 0.8419 0.5307 0.7447  1 S 1.47
O: 0.6936 0.5268 0.2444  1 P 1.51
O: 0.8434 0.3115 0.2432  1 S 1.45
O: 0.4795 0.1595 0.2445  1 P 1.50
O: 0.6375 0.4982 0.9221  1 S 1.53
O: 0.8482 0.3553 0.9203  1 P 1.60
O: 0.4950 0.1452 0.9215  1 S 1.53
O: 0.6533 0.1443 0.4235  1 S 1.46
O: 0.4884 0.3488 0.4212  1 S 1.47
O: 0.8589 0.5069 0.4227  1 S 1.46
O: 0.3567 0.4927 0.0780  1 S 1.46
O: 0.1391 0.6472 0.0788  1 S 1.46
O: 0.5098 0.8612 0.0788  1 S 1.47
O: 0.3512 0.8652 0.5757  1 S 1.46
O: 0.5136 0.6485 0.5758  1 S 1.46
O: 0.1354 0.4855 0.5758  1 S 1.46
O: 0.2993 0.8233 0.2559  1 P 1.56
O: 0.5177 0.6872 0.2553  1 P 1.56
O: 0.1646 0.4710 0.2556  1 S 1.49
O: 0.3133 0.4723 0.7558  1 S 1.51
O: 0.1652 0.6967 0.7552  1 S 1.51
O: 0.5241 0.8349 0.7578  1 S 1.51

---

- Look up the volume of the second one.
  494.0 Å³/f.u.